Entry from the Materials Project database: Dy3Al5O12 after structural relaxation (r2SCAN).

Computed properties:
* E: -1095.40 eV per cell
* size of the total moment: 0.00 Bohr magnetons per cell
* symmetry: Ia-3d, No. 230

abc: 10.3852 10.3852 10.3852
angles: 109.47 109.47 109.47
Element x y z (fractional)
1 Al 0.5000 0.0000 0.0000
2 Al 0.7500 0.8750 0.1250
3 Al 0.8750 0.1250 0.7500
4 Al 0.7500 0.3750 0.6250
5 Al 0.1250 0.8750 0.2500
6 Al 0.3750 0.2500 0.6250
7 Al 0.6250 0.3750 0.2500
8 Al 0.0000 0.5000 0.5000
9 Al 0.0000 0.0000 0.5000
10 Al 0.1250 0.7500 0.8750
11 Al 0.5000 0.5000 0.0000
12 Al 0.2500 0.6250 0.3750
13 Al 0.6250 0.7500 0.3750
14 Al 0.5000 0.5000 0.5000
15 Al 0.3750 0.6250 0.7500
16 Al 0.5000 0.0000 0.5000
17 Al 0.2500 0.1250 0.8750
18 Al 0.0000 0.0000 0.0000
19 Al 0.8750 0.2500 0.1250
20 Al 0.0000 0.5000 0.0000
21 O 0.0982 0.6181 0.4186
22 O 0.9018 0.0199 0.3204
23 O 0.0199 0.1994 0.1181
24 O 0.6796 0.0814 0.6994
25 O 0.1994 0.5814 0.1796
26 O 0.4018 0.0814 0.8819
27 O 0.8006 0.4186 0.8204
28 O 0.0982 0.9801 0.6796
29 O 0.9018 0.3819 0.5814
30 O 0.1796 0.1994 0.5814
31 O 0.6796 0.0982 0.9801
32 O 0.1181 0.5982 0.9186
33 O 0.8204 0.8006 0.4186
34 O 0.8819 0.9801 0.8006
35 O 0.6181 0.4186 0.0982
36 O 0.1181 0.0199 0.1994
37 O 0.0814 0.6994 0.6796
38 O 0.6994 0.5199 0.6181
39 O 0.4801 0.5982 0.1796
40 O 0.4186 0.8204 0.8006
41 O 0.5814 0.9018 0.3819
42 O 0.4018 0.8204 0.5199
43 O 0.3204 0.9186 0.3006
44 O 0.3006 0.3204 0.9186
45 O 0.6181 0.6994 0.5199
46 O 0.5814 0.1796 0.1994
47 O 0.5199 0.6181 0.6994
48 O 0.3006 0.4801 0.3819
49 O 0.8204 0.5199 0.4018
50 O 0.9186 0.1181 0.5982
51 O 0.3819 0.5814 0.9018
52 O 0.3819 0.3006 0.4801
53 O 0.8006 0.8819 0.9801
54 O 0.1994 0.1181 0.0199
55 O 0.5199 0.4018 0.8204
56 O 0.9801 0.8006 0.8819
57 O 0.9186 0.3006 0.3204
58 O 0.4186 0.0982 0.6181
59 O 0.5982 0.1796 0.4801
60 O 0.1796 0.4801 0.5982
61 O 0.3204 0.9018 0.0199
62 O 0.9801 0.6796 0.0982
63 O 0.6994 0.6796 0.0814
64 O 0.5982 0.9186 0.1181
65 O 0.4801 0.3819 0.3006
66 O 0.8819 0.4018 0.0814
67 O 0.0814 0.8819 0.4018
68 O 0.0199 0.3204 0.9018
69 Dy 0.8750 0.7500 0.6250
70 Dy 0.2500 0.3750 0.1250
71 Dy 0.8750 0.6250 0.2500
72 Dy 0.6250 0.8750 0.7500
73 Dy 0.3750 0.1250 0.2500
74 Dy 0.3750 0.7500 0.1250
75 Dy 0.6250 0.2500 0.8750
76 Dy 0.1250 0.3750 0.7500
77 Dy 0.1250 0.2500 0.3750
78 Dy 0.2500 0.8750 0.6250
79 Dy 0.7500 0.1250 0.3750
80 Dy 0.7500 0.6250 0.8750

Entry from the Materials Project database: Dy3Al12Os4 after structural relaxation (r2SCAN).

Computed properties:
* E: -803.41 eV per cell
* size of the total moment: 0.00 Bohr magnetons per cell
* symmetry: P6_3/mmc, No. 194

abc: 8.7759 8.7759 9.5119
angles: 90.00 90.00 120.00
Element x y z (fractional)
1 Dy 0.1932 0.8068 0.2500
2 Dy 0.6136 0.8068 0.2500
3 Dy 0.1932 0.3864 0.2500
4 Dy 0.8068 0.6136 0.7500
5 Dy 0.8068 0.1932 0.7500
6 Dy 0.3864 0.1932 0.7500
7 Os 0.5000 0.5000 0.0000
8 Os 0.0000 0.5000 0.0000
9 Os 0.0000 0.0000 0.5000
10 Os 0.5000 0.0000 0.5000
11 Os 0.5000 0.0000 0.0000
12 Os 0.5000 0.5000 0.5000
13 Os 0.0000 0.5000 0.5000
14 Os 0.0000 0.0000 0.0000
15 Al 0.1632 0.3263 0.9249
16 Al 0.3263 0.1632 0.4249
17 Al 0.8368 0.1632 0.0751
18 Al 0.6737 0.8368 0.5751
19 Al 0.1632 0.3263 0.5751
20 Al 0.3333 0.6667 0.4885
21 Al 0.1632 0.8368 0.5751
22 Al 0.1223 0.5611 0.7500
23 Al 0.6667 0.3333 0.5115
24 Al 0.4389 0.8777 0.7500
25 Al 0.8368 0.6737 0.0751
26 Al 0.0000 0.0000 0.7500
27 Al 0.3263 0.1632 0.0751
28 Al 0.4389 0.5611 0.7500
29 Al 0.5611 0.4389 0.2500
30 Al 0.5611 0.1223 0.2500
31 Al 0.6737 0.8368 0.9249
32 Al 0.8777 0.4389 0.2500
33 Al 0.8368 0.6737 0.4249
34 Al 0.8368 0.1632 0.4249
35 Al 0.6667 0.3333 0.9885
36 Al 0.1632 0.8368 0.9249
37 Al 0.0000 0.0000 0.2500
38 Al 0.3333 0.6667 0.0115

Entry from the Materials Project database: Dy4Al24Pd9 after structural relaxation (r2SCAN).

Computed properties:
* E: -524.33 eV per cell
* size of the total moment: 0.00 Bohr magnetons per cell
* symmetry: P-1, No. 2

abc: 7.4995 7.5155 13.0964
angles: 84.56 79.05 59.92
Element x y z (fractional)
1 Pd 0.7790 0.1747 0.6378
2 Pd 0.3436 0.8282 0.0000
3 Pd 0.6564 0.1718 0.0000
4 Pd 0.2210 0.8253 0.3622
5 Pd 0.1203 0.4925 0.6381
6 Pd 0.4618 0.8333 0.6381
7 Pd 0.5382 0.1667 0.3619
8 Pd 0.8797 0.5075 0.3619
9 Pd 0.0000 0.5000 0.0000
10 Al 0.2660 0.8361 0.8163
11 Al 0.9384 0.3691 0.1852
12 Al 0.1462 0.8330 0.5615
13 Al 0.4797 0.1667 0.5597
14 Al 0.9853 0.8331 0.0444
15 Al 0.0616 0.6309 0.8148
16 Al 0.1096 0.1593 0.6690
17 Al 0.6847 0.8336 0.9451
18 Al 0.8131 0.5003 0.5596
19 Al 0.3516 0.5003 0.9451
20 Al 0.8557 0.0414 0.8162
21 Al 0.6484 0.4997 0.0549
22 Al 0.3153 0.1664 0.0549
23 Al 0.5633 0.4928 0.3295
24 Al 0.8538 0.1670 0.4385
25 Al 0.5203 0.8333 0.4403
26 Al 0.7832 0.8347 0.6702
27 Al 0.4367 0.5072 0.6705
28 Al 0.8904 0.8407 0.3310
29 Al 0.1443 0.9586 0.1838
30 Al 0.2168 0.1653 0.3298
31 Al 0.7340 0.1639 0.1837
32 Al 0.1869 0.4997 0.4404
33 Al 0.0147 0.1669 0.9556
34 Dy 0.6062 0.8318 0.1915
35 Dy 0.2664 0.5017 0.1915
36 Dy 0.7336 0.4983 0.8085
37 Dy 0.3938 0.1682 0.8085

Entry from the Materials Project database: DyAlPd after structural relaxation (r2SCAN).

Computed properties:
* E: -257.90 eV per cell
* size of the total moment: 0.00 Bohr magnetons per cell
* symmetry: Pnma, No. 62

abc: 4.4294 6.8839 7.7306
angles: 90.00 90.00 90.00
Element x y z (fractional)
1 Al 0.2500 0.6422 0.4385
2 Al 0.7500 0.3578 0.5615
3 Al 0.7500 0.8578 0.9385
4 Al 0.2500 0.1422 0.0615
5 Pd 0.7500 0.2276 0.8801
6 Pd 0.2500 0.7724 0.1199
7 Pd 0.2500 0.2724 0.3801
8 Pd 0.7500 0.7276 0.6199
9 Dy 0.2500 0.5337 0.8211
10 Dy 0.7500 0.4663 0.1789
11 Dy 0.7500 0.9663 0.3211
12 Dy 0.2500 0.0337 0.6789

Entry from the Materials Project database: PmDyAl2 after structural relaxation (r2SCAN).

Computed properties:
* E: -76.69 eV per cell
* size of the total moment: 0.00 Bohr magnetons per cell
* symmetry: Fm-3m, No. 225

abc: 5.1450 5.1450 5.1450
angles: 60.00 60.00 60.00
Element x y z (fractional)
1 Dy 0.5000 0.5000 0.5000
2 Al 0.7500 0.7500 0.7500
3 Al 0.2500 0.2500 0.2500
4 Pm 0.0000 0.0000 0.0000

Entry from the Materials Project database: PrDyAl4 after structural relaxation (r2SCAN).

Computed properties:
* E: -91.61 eV per cell
* size of the total moment: 0.00 Bohr magnetons per cell
* symmetry: F-43m, No. 216

abc: 5.6176 5.6176 5.6176
angles: 60.00 60.00 60.00
Element x y z (fractional)
1 Al 0.6249 0.6249 0.1254
2 Al 0.6249 0.6249 0.6249
3 Al 0.1254 0.6249 0.6249
4 Al 0.6249 0.1254 0.6249
5 Dy 0.2500 0.2500 0.2500
6 Pr 0.0000 0.0000 0.0000

Entry from the Materials Project database: DyAlPt after structural relaxation (r2SCAN).

Computed properties:
* E: -376.04 eV per cell
* size of the total moment: 0.00 Bohr magnetons per cell
* symmetry: Pnma, No. 62

abc: 4.3951 6.8997 7.7103
angles: 90.00 90.00 90.00
Element x y z (fractional)
1 Dy 0.7500 0.5285 0.8187
2 Dy 0.2500 0.9715 0.3187
3 Dy 0.7500 0.0285 0.6812
4 Dy 0.2500 0.4715 0.1813
5 Pt 0.7500 0.2728 0.3835
6 Pt 0.7500 0.7728 0.1165
7 Pt 0.2500 0.7272 0.6165
8 Pt 0.2500 0.2272 0.8835
9 Al 0.2500 0.3567 0.5643
10 Al 0.7500 0.6433 0.4357
11 Al 0.2500 0.8567 0.9357
12 Al 0.7500 0.1433 0.0643

Entry from the Materials Project database: Dy3Al12Ru4 after structural relaxation (r2SCAN).

Computed properties:
* E: -584.60 eV per cell
* size of the total moment: 0.00 Bohr magnetons per cell
* symmetry: P6_3/mmc, No. 194

abc: 8.7616 8.7617 9.4942
angles: 90.00 90.00 120.00
Element x y z (fractional)
1 Dy 0.1931 0.8069 0.2500
2 Dy 0.6137 0.8069 0.2500
3 Dy 0.8069 0.1931 0.7500
4 Dy 0.8069 0.6137 0.7500
5 Dy 0.3863 0.1931 0.7500
6 Dy 0.1931 0.3863 0.2500
7 Al 0.3333 0.6667 0.4909
8 Al 0.1624 0.8376 0.5768
9 Al 0.1624 0.3247 0.5768
10 Al 0.4389 0.5611 0.7500
11 Al 0.4389 0.8779 0.7500
12 Al 0.8376 0.1624 0.4232
13 Al 0.8376 0.1624 0.0768
14 Al 0.8779 0.4389 0.2500
15 Al 0.0000 0.0000 0.2500
16 Al 0.6753 0.8376 0.9232
17 Al 0.5611 0.1221 0.2500
18 Al 0.6753 0.8376 0.5768
19 Al 0.3333 0.6667 0.0091
20 Al 0.0000 0.0000 0.7500
21 Al 0.3247 0.1624 0.0768
22 Al 0.8376 0.6753 0.4232
23 Al 0.1624 0.8376 0.9232
24 Al 0.3247 0.1624 0.4232
25 Al 0.1221 0.5611 0.7500
26 Al 0.8376 0.6753 0.0768
27 Al 0.5611 0.4389 0.2500
28 Al 0.6667 0.3333 0.5091
29 Al 0.6667 0.3333 0.9909
30 Al 0.1624 0.3247 0.9232
31 Ru 0.5000 0.5000 0.0000
32 Ru 0.0000 0.5000 0.5000
33 Ru 0.0000 0.0000 0.5000
34 Ru 0.5000 0.0000 0.5000
35 Ru 0.0000 0.0000 0.0000
36 Ru 0.5000 0.5000 0.5000
37 Ru 0.0000 0.5000 0.0000
38 Ru 0.5000 0.0000 0.0000

Entry from the Materials Project database: Dy9Al5S21 after structural relaxation (r2SCAN).

Computed properties:
* E: -1119.50 eV per cell
* size of the total moment: 0.00 Bohr magnetons per cell
* symmetry: R3, No. 146

abc: 11.3759 11.3759 11.3759
angles: 94.03 94.03 94.03
Element x y z (fractional)
1 S 0.2969 0.3827 0.8125
2 S 0.5551 0.4143 0.3113
3 S 0.6661 0.8936 0.7636
4 S 0.1061 0.6895 0.2038
5 S 0.8936 0.7636 0.6661
6 S 0.0611 0.4766 0.9622
7 S 0.1711 0.8386 0.5083
8 S 0.0072 0.3384 0.6721
9 S 0.8125 0.2969 0.3827
10 S 0.5083 0.1711 0.8386
11 S 0.7830 0.3520 0.8676
12 S 0.3384 0.6721 0.0072
13 S 0.2840 0.3811 0.1539
14 S 0.7171 0.1579 0.6274
15 S 0.3827 0.8125 0.2969
16 S 0.7636 0.6661 0.8936
17 S 0.1539 0.2840 0.3811
18 S 0.2038 0.1061 0.6895
19 S 0.8676 0.7830 0.3520
20 S 0.7291 0.4900 0.6219
21 S 0.6219 0.7291 0.4900
22 S 0.6895 0.2038 0.1061
23 S 0.6721 0.0072 0.3384
24 S 0.9431 0.0429 0.7990
25 S 0.3113 0.5551 0.4143
26 S 0.0063 0.5390 0.4470
27 S 0.9622 0.0611 0.4766
28 S 0.1579 0.6274 0.7171
29 S 0.9986 0.2379 0.1027
30 S 0.3520 0.8676 0.7830
31 S 0.6274 0.7171 0.1579
32 S 0.8386 0.5083 0.1711
33 S 0.2379 0.1027 0.9986
34 S 0.3811 0.1539 0.2840
35 S 0.4766 0.9622 0.0611
36 S 0.1027 0.9986 0.2379
37 S 0.5390 0.4470 0.0063
38 S 0.0429 0.7990 0.9431
39 S 0.4900 0.6219 0.7291
40 S 0.4470 0.0063 0.5390
41 S 0.7990 0.9431 0.0429
42 S 0.4143 0.3113 0.5551
43 Dy 0.4316 0.5855 0.2081
44 Dy 0.9297 0.5451 0.7725
45 Dy 0.7653 0.5516 0.3957
46 Dy 0.0973 0.2449 0.8745
47 Dy 0.3957 0.7653 0.5516
48 Dy 0.5516 0.3957 0.7653
49 Dy 0.5451 0.7725 0.9298
50 Dy 0.8745 0.0973 0.2449
51 Dy 0.7365 0.1138 0.8820
52 Dy 0.1138 0.8820 0.7365
53 Dy 0.2449 0.8745 0.0973
54 Dy 0.0675 0.4526 0.2245
55 Dy 0.7725 0.9297 0.5451
56 Dy 0.2081 0.4316 0.5855
57 Dy 0.4526 0.2245 0.0675
58 Dy 0.2245 0.0675 0.4526
59 Dy 0.5855 0.2081 0.4316
60 Dy 0.8820 0.7365 0.1138
61 Al 0.3585 0.3585 0.3585
62 Al 0.0467 0.7194 0.3870
63 Al 0.5474 0.8825 0.2229
64 Al 0.8601 0.8601 0.8601
65 Al 0.1764 0.1764 0.1764
66 Al 0.3870 0.0467 0.7194
67 Al 0.8825 0.2229 0.5474
68 Al 0.7194 0.3870 0.0467
69 Al 0.2229 0.5474 0.8825
70 Al 0.6776 0.6776 0.6776

Entry from the Materials Project database: DyAlSi after structural relaxation (r2SCAN).

Computed properties:
* E: -99.02 eV per cell
* size of the total moment: 0.00 Bohr magnetons per cell
* symmetry: Cmcm, No. 63

abc: 5.5207 5.5207 5.6893
angles: 90.00 90.00 137.83
Element x y z (fractional)
1 Al 0.0000 0.0000 0.5000
2 Al 0.0000 0.0000 0.0000
3 Si 0.5990 0.4010 0.7500
4 Si 0.4010 0.5990 0.2500
5 Dy 0.6948 0.3052 0.2500
6 Dy 0.3052 0.6948 0.7500

Entry from the Materials Project database: DyAl2Si2 after structural relaxation (r2SCAN).

Computed properties:
* E: -65.07 eV per cell
* size of the total moment: 0.00 Bohr magnetons per cell
* symmetry: P-3m1, No. 164

abc: 4.1693 4.1693 6.5948
angles: 90.00 90.00 120.00
Element x y z (fractional)
1 Al 0.3333 0.6667 0.6428
2 Al 0.6667 0.3333 0.3572
3 Si 0.6667 0.3333 0.7394
4 Si 0.3333 0.6667 0.2606
5 Dy 0.0000 0.0000 0.0000

Entry from the Materials Project database: TbDy3Al8 after structural relaxation (r2SCAN).

Computed properties:
* E: -188.08 eV per cell
* size of the total moment: 0.00 Bohr magnetons per cell
* symmetry: R3m, No. 160

abc: 9.5963 9.5963 9.5963
angles: 33.55 33.55 33.55
Element x y z (fractional)
1 Tb 0.8124 0.8124 0.8124
2 Dy 0.3124 0.3124 0.3124
3 Dy 0.1876 0.1876 0.1876
4 Dy 0.6876 0.6876 0.6876
5 Al 0.0000 0.0000 0.0000
6 Al 0.7501 0.7501 0.2501
7 Al 0.5000 0.5000 0.5000
8 Al 0.2500 0.7498 0.2500
9 Al 0.2501 0.7501 0.7501
10 Al 0.7501 0.2501 0.7501
11 Al 0.7498 0.2500 0.2500
12 Al 0.2500 0.2500 0.7498